Material: Co2Ge
Method: DFT, r2SCAN
State: optimized geometry

Cell lengths 3.8163, 4.9885, 7.1442 Å; angles 90.00, 90.00, 90.00 degrees
Fractional coordinates of all 12 atoms:
Co1 0.7500 0.1742 0.5625
Co2 0.7500 0.6742 0.9375
Co3 0.2500 0.8258 0.4375
Co4 0.2500 0.3258 0.0625
Co5 0.7500 0.5375 0.2764
Co6 0.7500 0.0375 0.2236
Co7 0.2500 0.4625 0.7236
Co8 0.2500 0.9625 0.7764
Ge1 0.7500 0.2037 0.8950
Ge2 0.7500 0.7037 0.6050
Ge3 0.2500 0.7963 0.1050
Ge4 0.2500 0.2963 0.3950

## Properties
**Energy**: -13.4642 eV/atom
**Energy of formation**: -17 meV per atom


Material: ErInCu4
Method: DFT, r2SCAN
State: optimized geometry

Cell lengths 5.0459, 5.0459, 5.0459 Å; angles 60.00, 60.00, 60.00 degrees
Fractional coordinates of all 6 atoms:
Er1 0.2500 0.2500 0.2500
In1 0.0000 0.0000 0.0000
Cu1 0.6252 0.6252 0.6252
Cu2 0.6252 0.6252 0.1244
Cu3 0.6252 0.1244 0.6252
Cu4 0.1244 0.6252 0.6252

## Properties
**Energy**: -16.9718 eV/atom
**Energy of formation**: -323 meV per atom


Material: Li2SnS3
Method: DFT, r2SCAN
State: optimized geometry

Cell lengths 6.4121, 6.4121, 12.3932 Å; angles 85.06, 85.06, 120.01 degrees
Fractional coordinates of all 24 atoms:
Li1 0.8403 0.6703 0.4999
Li2 0.3297 0.1597 0.0001
Li3 0.1597 0.3297 0.5001
Li4 0.6703 0.8403 0.9999
Li5 0.4170 0.5830 0.7500
Li6 0.5830 0.4170 0.2500
Li7 0.0000 0.5000 0.0000
Li8 0.5000 0.0000 0.5000
Sn1 0.0833 0.9167 0.7500
Sn2 0.9167 0.0833 0.2500
Sn3 0.7498 0.2502 0.7500
Sn4 0.2502 0.7498 0.2500
S1 0.9702 0.8042 0.1301
S2 0.1958 0.0298 0.3699
S3 0.0298 0.1958 0.8699
S4 0.8042 0.9702 0.6301
S5 0.1081 0.6227 0.6301
S6 0.3773 0.8919 0.8699
S7 0.8919 0.3773 0.3699
S8 0.6227 0.1081 0.1301
S9 0.7251 0.5427 0.8717
S10 0.4573 0.2749 0.6283
S11 0.2749 0.4573 0.1283
S12 0.5427 0.7251 0.3717

## Properties
**Energy**: -9.9789 eV/atom
**Energy of formation**: -1042 meV per atom


Material: SiO2
Method: DFT, r2SCAN
State: optimized geometry

Cell lengths 8.3606, 12.4952, 15.6492 Å; angles 105.67, 105.49, 90.00 degrees
Fractional coordinates of all 84 atoms:
Si1 0.9744 0.2346 0.5797
Si2 0.5177 0.5289 0.4088
Si3 0.6235 0.8743 0.6166
Si4 0.8640 0.9291 0.1027
Si5 0.1089 0.4711 0.5912
Si6 0.0256 0.7654 0.4203
Si7 0.1722 0.1102 0.7178
Si8 0.6407 0.8397 0.9060
Si9 0.2653 0.8397 0.9060
Si10 0.0069 0.1257 0.3834
Si11 0.2386 0.9291 0.1027
Si12 0.3946 0.7654 0.4203
Si13 0.6054 0.2346 0.5797
Si14 0.0480 0.6903 0.7194
Si15 0.3765 0.1257 0.3834
Si16 0.9931 0.8743 0.6166
Si17 0.7614 0.0709 0.8973
Si18 0.7347 0.1603 0.0940
Si19 0.8911 0.5289 0.4088
Si20 0.5455 0.1102 0.7178
Si21 0.3593 0.1603 0.0940
Si22 0.3286 0.3097 0.2806
Si23 0.9520 0.3097 0.2806
Si24 0.6714 0.6903 0.7194
Si25 0.4545 0.8898 0.2822
Si26 0.4823 0.4711 0.5912
Si27 0.8278 0.8898 0.2822
Si28 0.1360 0.0709 0.8973
O1 0.3492 0.0422 0.1174
O2 0.7710 0.1558 0.9969
O3 0.1240 0.9820 0.6570
O4 0.7754 0.2089 0.5508
O5 0.6350 0.8588 0.2700
O6 0.7741 0.8442 0.0031
O7 0.4670 0.0180 0.3430
O8 0.3165 0.2585 0.1730
O9 0.4060 0.2225 0.3375
O10 0.7681 0.0422 0.1174
O11 0.5514 0.5771 0.6798
O12 0.5486 0.8302 0.5061
O13 0.3912 0.8081 0.3319
O14 0.4121 0.6331 0.3944
O15 0.2897 0.4388 0.5793
O16 0.1410 0.1283 0.8178
O17 0.8535 0.6631 0.7069
O18 0.1465 0.3369 0.2931
O19 0.8760 0.0180 0.3430
O20 0.1435 0.7415 0.8270
O21 0.0539 0.9611 0.1078
O22 0.6835 0.7415 0.8270
O23 0.6088 0.1919 0.6681
O24 0.4514 0.1698 0.4939
O25 0.0177 0.3669 0.6056
O26 0.2259 0.1558 0.9969
O27 0.8205 0.9085 0.6410
O28 0.2319 0.9578 0.8826
O29 0.9461 0.0389 0.8922
O30 0.7103 0.5612 0.4207
O31 0.9823 0.6331 0.3944
O32 0.6508 0.9578 0.8826
O33 0.2246 0.7911 0.4492
O34 0.9575 0.8302 0.5061
O35 0.0000 0.5000 0.5000
O36 0.9407 0.8081 0.3319
O37 0.3650 0.1412 0.7300
O38 0.5879 0.3669 0.6056
O39 0.6769 0.1283 0.8178
O40 0.8590 0.8717 0.1822
O41 0.4559 0.8150 0.9118
O42 0.1795 0.0915 0.3590
O43 0.5330 0.9820 0.6570
O44 0.8716 0.4229 0.3202
O45 0.0685 0.7775 0.6625
O46 0.8565 0.2585 0.1730
O47 0.4486 0.4229 0.3202
O48 0.0425 0.1698 0.4939
O49 0.5441 0.1850 0.0882
O50 0.1284 0.5771 0.6798
O51 0.9315 0.2225 0.3375
O52 0.0593 0.1919 0.6681
O53 0.2290 0.8442 0.0031
O54 0.3231 0.8717 0.1822
O55 0.5000 0.5000 0.5000
O56 0.5940 0.7775 0.6625

## Properties
**Energy**: -9.9298 eV/atom
**Energy of formation**: -3024 meV per atom


Material: CaGa2As2
Method: DFT, r2SCAN
State: optimized geometry

Cell lengths 8.6438, 8.6438, 8.6438 Å; angles 26.68, 26.68, 26.68 degrees
Fractional coordinates of all 5 atoms:
Ca1 0.0000 0.0000 0.0000
Ga1 0.5487 0.5487 0.5487
Ga2 0.4513 0.4513 0.4513
As1 0.7437 0.7437 0.7437
As2 0.2563 0.2563 0.2563

## Properties
**Energy**: -12.6397 eV/atom
**Energy of formation**: -772 meV per atom


Material: YbBO3
Method: DFT, r2SCAN
State: optimized geometry

Cell lengths 6.0694, 6.0694, 6.0694 Å; angles 47.63, 47.63, 47.63 degrees
Fractional coordinates of all 10 atoms:
Yb1 0.0000 0.0000 0.0000
Yb2 0.5000 0.5000 0.5000
B1 0.2500 0.2500 0.2500
B2 0.7500 0.7500 0.7500
O1 0.2500 0.5315 0.9685
O2 0.4685 0.0315 0.7500
O3 0.0315 0.7500 0.4685
O4 0.7500 0.4685 0.0315
O5 0.5315 0.9685 0.2500
O6 0.9685 0.2500 0.5315

## Properties
**Energy**: -15.7850 eV/atom
**Energy of formation**: -3426 meV per atom


Material: Mn2PO5
Method: DFT, r2SCAN
State: optimized geometry

Cell lengths 6.1331, 7.6720, 8.0832 Å; angles 90.00, 90.00, 90.00 degrees
Fractional coordinates of all 32 atoms:
Mn1 0.0000 0.0000 0.0000
Mn2 0.5000 0.0000 0.0000
Mn3 0.2500 0.1211 0.3491
Mn4 0.2500 0.3789 0.8491
Mn5 0.0000 0.5000 0.5000
Mn6 0.5000 0.5000 0.5000
Mn7 0.7500 0.6211 0.1509
Mn8 0.7500 0.8789 0.6509
P1 0.7500 0.1679 0.3205
P2 0.7500 0.3321 0.8205
P3 0.2500 0.6679 0.1795
P4 0.2500 0.8321 0.6795
O1 0.7500 0.0606 0.4759
O2 0.9570 0.1335 0.2166
O3 0.5430 0.1335 0.2166
O4 0.7500 0.1359 0.8646
O5 0.2500 0.1401 0.9521
O6 0.2500 0.3599 0.4521
O7 0.7500 0.3641 0.3646
O8 0.5430 0.3665 0.7166
O9 0.9570 0.3665 0.7166
O10 0.7500 0.4394 0.9759
O11 0.2500 0.5606 0.0241
O12 0.0430 0.6335 0.2834
O13 0.4570 0.6335 0.2834
O14 0.2500 0.6359 0.6354
O15 0.7500 0.6401 0.5479
O16 0.7500 0.8599 0.0479
O17 0.2500 0.8641 0.1354
O18 0.0430 0.8665 0.7834
O19 0.4570 0.8665 0.7834
O20 0.2500 0.9394 0.5241

## Properties
**Energy**: -10.8482 eV/atom
**Energy of formation**: -2319 meV per atom
**Polymorph energy (0 for the lowest one)**: 3 meV per atom


Material: DyTaO4
Method: DFT, r2SCAN
State: optimized geometry

Cell lengths 5.0599, 5.3278, 6.4946 Å; angles 111.90, 110.51, 95.48 degrees
Fractional coordinates of all 12 atoms:
Dy1 0.3817 0.6317 0.7634
Dy2 0.6183 0.3683 0.2366
Ta1 0.8517 0.1018 0.7036
Ta2 0.1483 0.8982 0.2964
O1 0.5606 0.2742 0.5628
O2 0.7923 0.6316 0.0795
O3 0.4394 0.7258 0.4372
O4 0.7128 0.0521 0.9205
O5 0.0022 0.7887 0.5628
O6 0.2872 0.9479 0.0795
O7 0.2077 0.3684 0.9205
O8 0.9978 0.2113 0.4372

## Properties
**Energy**: -20.9927 eV/atom
**Energy of formation**: -3582 meV per atom